[1]
Here is a geometry-optimized ZnIn2Te4 structure from the Materials Project. Energies are from PBE.

## Properties
The value obtained for the maximum piezoelectric response is 0.10 C/m².

Cell lengths 7.706, 7.706, 7.706 Å; angles 132.25, 132.25, 69.84 degrees
Positions (direct):
Zn 0.000 0.000 0.000
In 0.250 0.750 0.500
In 0.500 0.500 0.000
Te 0.867 0.918 0.521
Te 0.655 0.133 0.051
Te 0.397 0.345 0.479
Te 0.082 0.603 0.949

=====

[2]
Here is a geometry-optimized K2Hg3C8N8O8 structure from the Materials Project. Energies are from PBE.

## Properties
The calculation puts the magnetization at 0.0 Bohr magnetons per cell.

Cell lengths 4.111, 10.692, 11.206 Å; angles 92.19, 94.86, 94.09 degrees
Positions (direct):
C 0.714 0.248 0.951
C 0.699 0.360 0.521
C 0.785 0.768 0.797
C 0.301 0.640 0.479
C 0.286 0.752 0.049
C 0.215 0.232 0.203
C 0.781 0.849 0.322
C 0.219 0.151 0.678
O 0.855 0.771 0.251
O 0.285 0.642 0.069
O 0.715 0.358 0.931
O 0.240 0.337 0.166
O 0.760 0.663 0.834
O 0.145 0.229 0.749
O 0.642 0.417 0.610
O 0.358 0.583 0.390
N 0.810 0.873 0.761
N 0.298 0.079 0.601
N 0.683 0.138 0.970
N 0.190 0.127 0.239
N 0.317 0.862 0.030
N 0.233 0.689 0.572
N 0.702 0.921 0.399
N 0.767 0.311 0.428
Hg 0.271 0.884 0.610
Hg 0.000 0.000 0.000
Hg 0.729 0.116 0.390
K 0.785 0.511 0.210
K 0.215 0.489 0.790

=====

[3]
Here is a geometry-optimized Nd4Er11S22 structure from the Materials Project. Energies are from PBE.

## Properties
The calculation puts the magnetization at 0.0 Bohr magnetons per cell.

Cell lengths 19.640, 19.640, 11.343 Å; angles 88.67, 88.67, 11.50 degrees
Positions (direct):
S 0.255 0.255 0.881
S 0.593 0.593 0.789
S 0.351 0.351 0.908
S 0.649 0.649 0.092
S 0.168 0.168 0.849
S 0.554 0.554 0.495
S 0.088 0.088 0.248
S 0.446 0.446 0.505
S 0.866 0.866 0.455
S 0.280 0.280 0.410
S 0.912 0.912 0.752
S 0.008 0.008 0.761
S 0.832 0.832 0.151
S 0.407 0.407 0.211
S 0.812 0.812 0.692
S 0.720 0.720 0.590
S 0.134 0.134 0.545
S 0.745 0.745 0.119
S 0.453 0.453 0.968
S 0.188 0.188 0.308
S 0.992 0.992 0.239
S 0.547 0.547 0.032
Er 0.462 0.462 0.728
Er 0.736 0.736 0.352
Er 0.538 0.538 0.272
Er 0.342 0.342 0.302
Er 0.658 0.658 0.698
Er 0.000 0.000 0.000
Er 0.264 0.264 0.648
Er 0.931 0.931 0.360
Er 0.202 0.202 0.058
Er 0.069 0.069 0.640
Er 0.798 0.798 0.942
Nd 0.104 0.104 0.988
Nd 0.896 0.896 0.012
Nd 0.367 0.367 0.653
Nd 0.633 0.633 0.347

=====

[4]
Here is a geometry-optimized Tb2CdS4 structure from the Materials Project. Energies are from PBE.

## Properties
The calculation puts the magnetization at 0.0 Bohr magnetons per cell. The value obtained for the maximum piezoelectric response is 2.30 C/m².

Cell lengths 7.307, 7.307, 7.307 Å; angles 110.44, 110.44, 107.55 degrees
Positions (direct):
S 0.250 0.989 0.874
S 0.126 0.365 0.626
S 0.500 0.874 0.239
S 0.739 0.500 0.374
S 0.635 0.261 0.761
S 0.115 0.376 0.126
S 0.011 0.885 0.261
S 0.624 0.750 0.739
Tb 0.375 0.265 0.390
Tb 0.735 0.125 0.110
Tb 0.015 0.625 0.890
Tb 0.875 0.985 0.610
Cd 0.250 0.750 0.500
Cd 0.500 0.500 0.000

=====

[5]
Here is a geometry-optimized K2RbBiCl6 structure from the Materials Project. Energies are from PBE.

## Properties
The calculation puts the magnetization at 0.0 Bohr magnetons per cell.

Cell lengths 8.219, 8.219, 8.219 Å; angles 60.00, 60.00, 60.00 degrees
Positions (direct):
Cl 0.767 0.233 0.767
Cl 0.233 0.233 0.767
Cl 0.767 0.233 0.233
Cl 0.233 0.767 0.767
Cl 0.233 0.767 0.233
Cl 0.767 0.767 0.233
K 0.750 0.750 0.750
K 0.250 0.250 0.250
Rb 0.500 0.500 0.500
Bi 0.000 0.000 0.000

=====

[6]
Here is a geometry-optimized Li4IO3 structure from the Materials Project. Energies are from PBE.

## Properties
The calculation puts the magnetization at 2.0 Bohr magnetons per cell.

Cell lengths 5.527, 4.190, 10.250 Å; angles 90.00, 90.00, 90.00 degrees
Positions (direct):
O 0.750 0.131 0.953
O 0.250 0.869 0.047
O 0.250 0.869 0.453
O 0.250 0.811 0.750
O 0.750 0.131 0.547
O 0.750 0.189 0.250
Li 0.537 0.157 0.103
Li 0.037 0.843 0.897
Li 0.037 0.843 0.603
Li 0.537 0.157 0.397
Li 0.963 0.157 0.397
Li 0.963 0.157 0.103
Li 0.463 0.843 0.897
Li 0.463 0.843 0.603
I 0.750 0.244 0.750
I 0.250 0.756 0.250

=====

[7]
Here is a geometry-optimized V4P3 structure from the Materials Project. Energies are from PBE.

Cell lengths 6.837, 6.837, 17.232 Å; angles 90.00, 90.00, 152.65 degrees
Positions (direct):
P 0.903 0.097 0.618
P 0.158 0.842 0.577
P 0.693 0.307 0.250
P 0.158 0.842 0.923
P 0.903 0.097 0.882
P 0.415 0.585 0.250
P 0.307 0.693 0.750
P 0.097 0.903 0.118
P 0.842 0.158 0.077
P 0.842 0.158 0.423
P 0.585 0.415 0.750
P 0.097 0.903 0.382
V 0.466 0.534 0.119
V 0.333 0.667 0.972
V 0.944 0.056 0.750
V 0.667 0.333 0.028
V 0.000 0.000 0.500
V 0.534 0.466 0.881
V 0.333 0.667 0.528
V 0.466 0.534 0.381
V 0.738 0.262 0.662
V 0.262 0.738 0.162
V 0.056 0.944 0.250
V 0.534 0.466 0.619
V 0.667 0.333 0.472
V 0.262 0.738 0.338
V 0.738 0.262 0.838
V 0.000 0.000 0.000

=====

[8]
Here is a geometry-optimized Na6LaNb3Si6O24 structure from the Materials Project. Energies are from PBE.

## Properties
The calculation puts the magnetization at 0.0 Bohr magnetons per cell. The energy relative to the lowest polymorph listed for this composition comes out at 10 meV per atom.

Cell lengths 9.247, 9.246, 22.480 Å; angles 89.99, 90.06, 119.88 degrees
Positions (direct):
O 0.188 0.204 0.423
O 0.964 0.150 0.585
O 0.802 0.972 0.691
O 0.173 0.986 0.911
O 0.833 0.521 0.032
O 0.024 0.835 0.694
O 0.240 0.027 0.314
O 0.987 0.824 0.088
O 0.524 0.816 0.755
O 0.474 0.165 0.530
O 0.020 0.191 0.195
O 0.525 0.378 0.422
O 0.174 0.176 0.810
O 0.362 0.866 0.857
O 0.002 0.826 0.810
O 0.291 0.811 0.252
O 0.826 0.998 0.808
O 0.438 0.375 0.148
O 0.517 0.680 0.572
O 0.162 0.190 0.694
O 0.798 0.986 0.423
O 0.920 0.370 0.649
O 0.852 0.340 0.241
O 0.847 0.538 0.755
O 0.845 0.027 0.088
O 0.160 0.484 0.571
O 0.850 0.358 0.924
O 0.362 0.495 0.356
O 0.502 0.863 0.358
O 0.690 0.153 0.754
O 0.509 0.841 0.065
O 0.507 0.148 0.925
O 0.811 0.827 0.912
O 0.662 0.514 0.242
O 0.518 0.679 0.968
O 0.855 0.477 0.423
O 0.507 0.851 0.475
O 0.831 0.308 0.532
O 0.507 0.638 0.855
O 0.289 0.475 0.754
O 0.640 0.493 0.925
O 0.973 0.213 0.313
O 0.460 0.307 0.753
O 0.164 0.676 0.067
O 0.316 0.844 0.971
O 0.521 0.712 0.252
O 0.331 0.842 0.570
O 0.153 0.474 0.971
O 0.185 0.710 0.755
O 0.467 0.079 0.645
O 0.172 0.982 0.195
O 0.785 0.758 0.315
O 0.480 0.306 0.035
O 0.350 0.502 0.472
O 0.624 0.147 0.422
O 0.133 0.637 0.356
O 0.319 0.486 0.068
O 0.688 0.524 0.531
O 0.157 0.657 0.471
O 0.016 0.813 0.423
O 0.817 0.835 0.198
O 0.628 0.550 0.648
O 0.696 0.173 0.034
O 0.135 0.496 0.857
O 0.937 0.544 0.144
O 0.190 0.481 0.252
O 0.177 0.157 0.085
O 0.608 0.063 0.145
O 0.489 0.149 0.242
O 0.842 0.822 0.586
O 0.014 0.188 0.911
O 0.183 0.026 0.588
Nb 0.333 0.667 0.311
Nb 0.666 0.334 0.484
Nb 0.336 0.667 0.013
Nb 0.334 0.667 0.814
Nb 0.997 0.997 0.147
Nb 0.668 0.335 0.980
Nb 0.000 0.001 0.859
Nb 0.330 0.663 0.521
Nb 0.003 0.999 0.645
La 0.664 0.336 0.165
La 0.668 0.337 0.679
La 0.000 0.000 0.350
Si 0.302 0.996 0.251
Si 0.614 0.963 0.419
Si 0.976 0.641 0.081
Si 0.665 0.023 0.082
Si 0.358 0.335 0.083
Si 0.350 0.386 0.418
Si 0.360 0.029 0.584
Si 0.710 0.989 0.752
Si 0.338 0.965 0.916
Si 0.669 0.641 0.585
Si 0.278 0.290 0.753
Si 0.035 0.374 0.915
Si 0.005 0.307 0.250
Si 0.694 0.700 0.252
Si 0.627 0.662 0.914
Si 0.011 0.721 0.754
Si 0.972 0.331 0.586
Si 0.037 0.651 0.418
Na 0.629 0.623 0.748
Na 0.643 0.014 0.245
Na 0.667 0.333 0.324
Na 0.381 0.009 0.749
Na 0.667 0.332 0.835
Na 0.326 0.034 0.415
Na 0.709 0.676 0.415
Na 0.964 0.290 0.415
Na 0.008 0.001 0.503
Na 0.989 0.990 0.998
Na 0.348 0.666 0.162
Na 0.319 0.652 0.666
Na 0.310 0.972 0.080
Na 0.664 0.971 0.585
Na 0.989 0.629 0.244
Na 0.027 0.339 0.080
Na 0.990 0.369 0.749
Na 0.369 0.356 0.245

=====

[9]
Here is a geometry-optimized NaPdN structure from the Materials Project. Energies are from PBE.

## Properties
The calculation puts the magnetization at 0.0 Bohr magnetons per cell. The energy relative to the lowest polymorph listed for this composition comes out at 2 meV per atom.

Cell lengths 4.367, 4.368, 3.742 Å; angles 90.00, 90.00, 120.00 degrees
Positions (direct):
Na 0.000 0.000 0.500
Pd 0.667 0.333 0.000
N 0.667 0.333 0.500

=====

[10]
Here is a geometry-optimized Y2CdGe2 structure from the Materials Project. Energies are from PBE.

Cell lengths 7.322, 7.322, 4.235 Å; angles 90.00, 90.00, 90.00 degrees
Positions (direct):
Cd 0.500 0.500 0.000
Cd 0.000 0.000 0.000
Ge 0.378 0.122 0.000
Ge 0.878 0.378 0.000
Ge 0.622 0.878 0.000
Ge 0.122 0.622 0.000
Y 0.322 0.822 0.500
Y 0.178 0.322 0.500
Y 0.822 0.678 0.500
Y 0.678 0.178 0.500

=====

[11]
Here is a geometry-optimized MoRh structure from the Materials Project. Energies are from PBE.

## Properties
The calculation puts the magnetization at 0.0 Bohr magnetons per cell.

Cell lengths 2.795, 2.795, 4.437 Å; angles 90.00, 90.00, 120.00 degrees
Positions (direct):
Rh 0.667 0.333 0.000
Mo 0.333 0.667 0.500

=====

no.,calculated formation energy (eV/atom)
1,-0.62
2,-0.69
3,-2.35
4,-1.85
5,-1.87
6,-1.47
7,-0.84
8,-2.98
9,0.17
10,-0.74
11,-0.09